Entry 1:
First-principles (PBE) data for a geometry-optimized CePr4O10 structure, as listed in the Materials Project.

```
15
Lattice="-9.144 -11.657 -7.225 -6.344 -14.106 -5.698 -9.501 -13.018 -3.458" Properties=species:S:1:pos:R:3 pbc="T T T"
O -1.166 -1.810 -0.764
O -6.263 -9.720 -4.106
O -8.677 -13.467 -5.688
O -11.234 -17.435 -7.365
O -23.823 -36.971 -15.617
O -18.726 -29.060 -12.275
O -16.311 -25.314 -10.693
O -3.747 -5.815 -2.456
O -21.242 -32.966 -13.925
O -13.755 -21.346 -9.017
Pr -19.976 -31.000 -13.095
Pr -9.956 -15.451 -6.527
Pr -5.013 -7.780 -3.286
Pr -15.033 -23.330 -9.855
Ce 0.000 0.000 0.000
```

Computed properties:
Electronic total energy ... -115.6 eV/f.u.
Space-group type ... R-3m (166)
Spin magnetization ... 4.0 μB per formula unit
E_form ... -3198 meV per atom

Entry 2:
First-principles (PBE) data for a geometry-optimized CePr4O10 structure, as listed in the Materials Project.

```
15
Lattice="3.037 -0.905 6.166 0.050 5.364 -4.392 -6.643 0.162 1.975" Properties=species:S:1:pos:R:3 pbc="T T T"
O 1.009 3.769 2.684
O -3.377 2.405 4.571
O -2.971 3.154 1.982
O -2.525 3.878 -0.765
O -1.032 0.743 4.514
O 1.415 4.519 0.095
O -0.585 1.467 1.768
O -4.566 0.852 1.065
O -4.971 0.102 3.655
O -0.179 2.217 -0.822
Pr -0.791 3.808 0.981
Pr 1.126 1.453 3.565
Pr -2.765 0.813 2.769
Pr -4.682 3.168 0.184
Ce 0.000 0.000 0.000
```

Computed properties:
Electronic total energy ... -115.6 eV/f.u.
Space-group type ... I4/m (87)
Spin magnetization ... 4.0 μB per formula unit
E_form ... -3199 meV per atom

Entry 3:
First-principles (PBE) data for a geometry-optimized RbCeSe2O13 structure, as listed in the Materials Project.

```
68
Lattice="9.223 0.000 0.000 0.000 6.679 0.000 0.000 1.038 19.846" Properties=species:S:1:pos:R:3 pbc="T T T"
O 1.777 7.433 18.563
O 2.298 3.266 9.261
O 5.986 3.165 19.771
O 3.376 5.521 4.395
O 6.388 0.804 11.207
O 3.794 4.235 8.106
O 1.235 6.041 14.318
O 4.370 6.698 6.625
O 7.988 1.677 5.528
O 0.614 5.100 0.845
O 8.406 2.963 1.817
O 2.835 6.914 8.639
O 6.630 7.466 18.563
O 6.909 3.932 0.662
O 2.314 4.151 15.958
O 2.472 0.876 5.810
O 0.242 7.218 16.548
O 6.751 6.841 14.036
O 6.910 3.566 3.888
O 7.135 4.055 6.622
O 5.276 2.325 5.621
O 2.298 3.632 6.035
O 8.982 0.500 3.298
O 8.560 2.844 15.544
O 5.226 2.099 9.079
O 3.299 2.257 17.583
O 2.018 0.771 11.207
O 6.700 4.574 16.545
O 2.088 3.662 13.225
O 7.084 6.322 4.113
O 2.523 3.143 3.302
O 7.205 6.947 8.640
O 3.998 5.619 10.768
O 7.910 5.979 12.186
O 7.850 2.646 9.848
O 5.847 2.196 15.451
O 3.948 5.393 14.226
O 5.925 5.460 2.263
O 7.447 0.284 1.284
O 2.140 1.395 15.733
O 2.593 0.252 1.284
O 3.238 4.553 0.075
O 0.664 4.873 4.302
O 6.925 4.086 13.811
O 2.314 3.785 19.184
O 0.818 4.755 18.029
O 5.430 3.482 11.741
O 8.610 2.618 19.002
O 6.926 4.451 10.586
O 4.854 1.019 13.221
O 1.374 5.072 9.999
O 1.313 1.738 7.660
Se 6.672 1.441 9.645
Se 2.551 6.277 10.201
Se 2.350 4.801 14.374
Se 7.163 1.960 19.569
Se 2.060 5.757 0.278
Se 6.874 2.917 5.473
Se 2.262 4.282 4.450
Se 6.961 3.436 15.396
Ce 0.961 2.620 17.244
Ce 5.573 5.617 12.525
Ce 8.262 5.098 2.602
Ce 3.650 2.100 7.321
Rb 4.668 1.400 2.732
Rb 4.556 6.317 17.115
Rb 9.167 1.920 12.655
Rb 0.056 5.798 7.191
```

Computed properties:
Electronic total energy ... -85.6 eV/f.u.
Space-group type ... P2_1/c (14)
Spin magnetization ... 9.0 μB per formula unit
E_form ... -960 meV per atom

Entry 4:
First-principles (PBE) data for a geometry-optimized Ce2S3O18 structure, as listed in the Materials Project.

```
46
Lattice="-4.415 -6.173 3.354 -1.095 -7.784 -2.659 12.224 -5.482 8.216" Properties=species:S:1:pos:R:3 pbc="T T T"
O 0.648 -8.171 5.009
O 5.363 -11.663 9.026
O 4.361 -9.476 1.598
O -2.863 -10.643 1.225
O 8.051 -14.166 7.045
O 2.615 -11.761 3.032
O 1.611 -10.067 0.643
O 8.735 -11.871 5.538
O -1.075 -8.525 -1.657
O 10.602 -8.686 8.514
O 1.642 -8.203 2.275
O 6.083 -15.362 7.952
O -0.376 -8.818 1.325
O 6.066 -11.267 3.903
O 9.577 -8.796 7.687
O 2.353 -9.963 7.313
O 1.350 -7.776 -0.114
O -2.022 -7.568 3.374
O 3.213 -13.366 5.397
O 5.103 -9.372 8.268
O 0.630 -4.077 0.960
O 4.099 -7.678 5.879
O 7.788 -10.914 10.569
O 3.501 -6.073 3.514
O 6.357 -6.631 5.765
O -0.762 -5.544 -0.496
O 7.475 -13.894 9.408
O 5.732 -8.478 4.241
O 1.955 -13.363 4.993
O 5.072 -11.236 6.637
O -1.338 -5.273 1.867
O -3.888 -10.753 0.398
O 4.759 -6.075 3.919
O 7.089 -10.621 7.586
O 0.982 -10.961 4.671
O 0.356 -12.808 3.146
Ce 10.729 -6.140 7.763
Ce 1.940 -15.964 5.541
Ce 4.774 -3.475 3.370
Ce -4.015 -13.299 1.149
S 5.324 -7.404 5.143
S 1.390 -12.034 3.769
S 1.073 -8.723 1.004
S -0.611 -4.750 0.714
S 7.324 -14.689 8.198
S 5.641 -10.715 7.908
```

Computed properties:
Electronic total energy ... -140.0 eV/f.u.
Space-group type ... C2/c (15)
Spin magnetization ... 6.0 μB per formula unit
E_form ... -1285 meV per atom

Entry 5:
First-principles (PBE) data for a geometry-optimized Ce2S3O18 structure, as listed in the Materials Project.

```
46
Lattice="3.452 7.771 0.000 -3.452 7.771 0.000 0.000 1.151 15.686" Properties=species:S:1:pos:R:3 pbc="T T T"
S 0.141 5.169 9.020
S -0.141 4.593 1.177
S -0.141 11.524 6.666
S -1.520 8.059 3.921
S 0.141 12.100 14.509
S 1.520 8.634 11.764
O -1.051 5.972 9.369
O 0.389 13.185 13.503
O 0.769 9.326 10.734
O 0.189 4.772 12.170
O -0.769 8.750 2.891
O 0.092 5.040 15.573
O 0.769 7.943 12.795
O 1.317 6.068 8.912
O 1.317 11.201 14.617
O 0.389 4.083 10.026
O -2.452 9.118 4.502
O -1.051 11.297 14.160
O -2.716 8.180 9.821
O -0.092 11.653 0.113
O 2.716 7.604 1.978
O -0.769 7.367 4.952
O 2.452 9.693 12.344
O -0.389 12.610 5.660
O -0.189 11.920 3.516
O 1.051 10.721 6.317
O 2.716 8.513 5.865
O -2.716 9.089 13.708
O 0.189 12.496 11.359
O -1.317 10.625 6.774
O -0.092 4.464 7.730
O -0.117 0.962 8.326
O -0.189 4.197 4.327
O 0.092 12.229 7.956
O -0.389 3.508 2.183
O 0.117 15.731 7.360
O -0.117 16.306 15.203
O -2.452 7.000 3.341
O 1.051 5.396 1.526
O 0.117 0.386 0.483
O 2.452 7.575 11.184
O -1.317 5.492 1.069
Ce 0.069 3.593 13.635
Ce -0.069 13.099 2.050
Ce 0.069 13.675 9.893
Ce -0.069 3.018 5.792
```

Computed properties:
Electronic total energy ... -140.5 eV/f.u.
Space-group type ... C2/c (15)
Spin magnetization ... 6.0 μB per formula unit
E_form ... -1307 meV per atom

Entry 6:
First-principles (PBE) data for a geometry-optimized Ce2SO2 structure, as listed in the Materials Project.

```
5
Lattice="-1.976 -3.423 0.000 -1.976 3.423 0.000 0.000 0.000 -6.798" Properties=species:S:1:pos:R:3 pbc="T T T"
O -1.976 1.141 -2.523
O -1.976 -1.141 -4.275
S 0.000 0.000 0.000
Ce -1.976 1.141 -4.895
Ce -1.976 -1.141 -1.902
```

Computed properties:
Electronic total energy ... -41.2 eV/f.u.
Space-group type ... P-3m1 (164)
E_form ... -3431 meV per atom